Entry 1:
In2SiGe2S5O24 | the Materials Project database | PBE | optimized geometry; total DFT energy (no corrections) = -6.1345 eV/atom; DFT formation energy = -1.9251 eV/atom; energy with MP2020 corrections = -6.6194 eV per atom
1.0
8.646 0.000 0.000
4.287 7.527 0.000
0.051 0.259 22.446
In Si Ge S O
6 3 6 15 72
Direct
0.000 0.000 0.000
0.001 0.996 0.805
0.017 0.004 0.498
0.340 0.330 0.626
0.663 0.669 0.179
0.677 0.670 0.676
0.308 0.005 0.400
0.330 0.616 0.237
0.701 0.000 0.902
0.043 0.977 0.297
0.337 0.343 0.135
0.349 0.326 0.839
0.350 0.329 0.339
0.667 0.673 0.459
0.676 0.671 0.966
0.007 0.701 0.400
0.008 0.309 0.902
0.063 0.615 0.737
0.064 0.321 0.236
0.318 0.690 0.902
0.337 0.047 0.738
0.382 0.970 0.069
0.392 0.666 0.566
0.627 0.334 0.736
0.635 0.056 0.237
0.667 0.381 0.068
0.679 0.951 0.564
0.713 0.297 0.399
0.953 0.387 0.564
0.973 0.652 0.070
0.005 0.801 0.062
0.038 0.163 0.243
0.043 0.770 0.454
0.052 0.788 0.742
0.058 0.191 0.954
0.130 0.373 0.566
0.145 0.810 0.244
0.149 0.347 0.289
0.149 0.480 0.076
0.150 0.499 0.792
0.159 0.343 0.891
0.162 0.524 0.390
0.163 0.536 0.682
0.178 0.278 0.180
0.179 0.029 0.746
0.192 0.057 0.459
0.204 0.994 0.058
0.206 0.764 0.955
0.213 0.821 0.560
0.215 0.959 0.343
0.252 0.808 0.849
0.291 0.532 0.176
0.309 0.148 0.681
0.329 0.517 0.891
0.333 0.176 0.384
0.360 0.491 0.295
0.364 0.137 0.790
0.371 0.149 0.077
0.381 0.500 0.568
0.457 0.860 0.122
0.467 0.693 0.620
0.498 0.889 0.015
0.500 0.366 0.074
0.501 0.873 0.735
0.502 0.659 0.913
0.503 0.174 0.889
0.504 0.635 0.235
0.504 0.825 0.410
0.506 0.639 0.512
0.511 0.361 0.790
0.515 0.126 0.567
0.516 0.132 0.288
0.531 0.323 0.391
0.550 0.307 0.682
0.555 0.167 0.180
0.632 0.497 0.012
0.636 0.499 0.734
0.650 0.862 0.512
0.657 0.879 0.230
0.682 0.821 0.916
0.696 0.462 0.120
0.699 0.476 0.408
0.707 0.851 0.620
0.773 0.052 0.960
0.776 0.189 0.454
0.804 0.179 0.742
0.807 0.051 0.246
0.822 0.946 0.843
0.823 0.207 0.061
0.830 0.216 0.347
0.837 0.970 0.557
0.844 0.483 0.913
0.846 0.680 0.408
0.854 0.463 0.620
0.862 0.683 0.123
0.867 0.501 0.510
0.886 0.628 0.736
0.890 0.621 0.015
0.894 0.482 0.229
0.962 0.826 0.348
0.965 0.212 0.560
0.970 0.237 0.848

=====

Entry 2:
InReGe | the Materials Project database | PBE | optimized geometry; total DFT energy (no corrections) = -5.9478 eV/atom; DFT formation energy = 0.6586 eV/atom
1.0
0.000 3.127 3.127
3.127 0.000 3.127
3.127 3.127 0.000
In Re Ge
1 1 1
Direct
0.000 0.000 0.000
0.750 0.750 0.750
0.500 0.500 0.500

=====

Entry 3:
Tb4InGe4Rh | the Materials Project database | PBE | optimized geometry; total DFT energy (no corrections) = -5.5629 eV/atom; DFT formation energy = -0.8483 eV/atom
1.0
10.223 -2.139 0.000
10.223 2.139 0.000
-2.689 0.000 10.019
Tb In Ge Rh
8 2 8 2
Direct
0.041 0.041 0.273
0.127 0.127 0.639
0.129 0.129 0.993
0.222 0.222 0.345
0.778 0.778 0.655
0.871 0.871 0.007
0.873 0.873 0.361
0.959 0.959 0.727
0.500 0.500 0.000
0.500 0.500 0.500
0.305 0.305 0.151
0.355 0.355 0.548
0.367 0.367 0.809
0.437 0.437 0.217
0.563 0.563 0.783
0.633 0.633 0.191
0.645 0.645 0.452
0.695 0.695 0.849
0.259 0.259 0.894
0.741 0.741 0.106

=====

Entry 4:
InGe2SbTe5 | the Materials Project database | PBE | optimized geometry; total DFT energy (no corrections) = -3.6602 eV/atom; DFT formation energy = -0.3565 eV/atom; energy with MP2020 corrections = -3.8946 eV per atom
1.0
4.265 0.000 0.000
-2.132 3.693 0.000
0.000 0.000 17.831
In Ge Sb Te
1 2 1 5
Direct
0.000 0.000 0.000
0.667 0.333 0.217
0.667 0.333 0.556
0.333 0.667 0.777
0.000 0.000 0.297
0.000 0.000 0.678
0.333 0.667 0.088
0.333 0.667 0.475
0.667 0.333 0.890

=====

Entry 5:
In4GeSb2Te | the Materials Project database | PBE | optimized geometry; total DFT energy (no corrections) = -3.4985 eV/atom; DFT formation energy = -0.1723 eV/atom; energy with MP2020 corrections = -3.5512 eV per atom
1.0
-3.282 3.282 6.557
3.282 -3.282 6.557
3.282 3.282 -6.557
In Ge Sb Te
4 1 2 1
Direct
0.106 0.648 0.000
0.352 0.352 0.458
0.648 0.106 0.000
0.894 0.894 0.542
0.000 0.000 0.000
0.250 0.750 0.500
0.750 0.250 0.500
0.500 0.500 0.000

=====

Entry 6:
In4GeSe4 | the Materials Project database | PBE | optimized geometry; total DFT energy (no corrections) = -3.7186 eV/atom; DFT formation energy = -0.6380 eV/atom; energy with MP2020 corrections = -3.9284 eV per atom
1.0
12.847 0.000 0.000
0.000 12.847 0.000
0.000 0.000 12.847
In Ge Se
32 8 32
Direct
0.040 0.060 0.278
0.040 0.440 0.778
0.060 0.222 0.540
0.060 0.278 0.040
0.221 0.721 0.779
0.221 0.779 0.279
0.222 0.540 0.060
0.222 0.960 0.560
0.278 0.040 0.060
0.278 0.460 0.560
0.279 0.221 0.779
0.279 0.279 0.279
0.440 0.722 0.540
0.440 0.778 0.040
0.460 0.560 0.278
0.460 0.940 0.778
0.540 0.060 0.222
0.540 0.440 0.722
0.560 0.222 0.960
0.560 0.278 0.460
0.721 0.721 0.721
0.721 0.779 0.221
0.722 0.540 0.440
0.722 0.960 0.940
0.778 0.040 0.440
0.778 0.460 0.940
0.779 0.221 0.721
0.779 0.279 0.221
0.940 0.722 0.960
0.940 0.778 0.460
0.960 0.560 0.222
0.960 0.940 0.722
0.101 0.601 0.899
0.101 0.899 0.399
0.399 0.101 0.899
0.399 0.399 0.399
0.601 0.601 0.601
0.601 0.899 0.101
0.899 0.101 0.601
0.899 0.399 0.101
0.075 0.075 0.075
0.075 0.243 0.832
0.075 0.257 0.332
0.075 0.425 0.575
0.168 0.575 0.257
0.168 0.925 0.757
0.243 0.668 0.575
0.243 0.832 0.075
0.257 0.168 0.575
0.257 0.332 0.075
0.332 0.075 0.257
0.332 0.425 0.757
0.425 0.575 0.075
0.425 0.743 0.832
0.425 0.757 0.332
0.425 0.925 0.575
0.575 0.075 0.425
0.575 0.243 0.668
0.575 0.257 0.168
0.575 0.425 0.925
0.668 0.575 0.243
0.668 0.925 0.743
0.743 0.668 0.925
0.743 0.832 0.425
0.757 0.168 0.925
0.757 0.332 0.425
0.832 0.075 0.243
0.832 0.425 0.743
0.925 0.575 0.425
0.925 0.743 0.668
0.925 0.757 0.168
0.925 0.925 0.925

=====

Entry 7:
Sm11In6Ge4 | the Materials Project database | PBE | optimized geometry; total DFT energy (no corrections) = -4.7883 eV/atom; DFT formation energy = -0.6499 eV/atom
1.0
-5.909 5.909 8.265
5.909 -5.909 8.265
5.909 5.909 -8.265
Sm In Ge
22 12 8
Direct
0.062 0.313 0.749
0.099 0.445 0.345
0.099 0.754 0.655
0.164 0.164 0.000
0.246 0.901 0.345
0.313 0.062 0.749
0.313 0.564 0.251
0.332 0.332 0.663
0.332 0.668 0.000
0.436 0.687 0.749
0.445 0.099 0.345
0.555 0.901 0.655
0.564 0.313 0.251
0.668 0.332 0.000
0.668 0.668 0.337
0.687 0.436 0.749
0.687 0.938 0.251
0.754 0.099 0.655
0.836 0.836 0.000
0.901 0.246 0.345
0.901 0.555 0.655
0.938 0.687 0.251
0.036 0.036 0.414
0.036 0.622 0.000
0.129 0.129 0.257
0.129 0.871 0.000
0.378 0.378 0.414
0.378 0.964 0.000
0.622 0.036 0.000
0.622 0.622 0.586
0.871 0.129 0.000
0.871 0.871 0.743
0.964 0.378 0.000
0.964 0.964 0.586
0.154 0.500 0.654
0.250 0.750 0.500
0.379 0.379 0.000
0.500 0.154 0.654
0.500 0.846 0.346
0.621 0.621 0.000
0.750 0.250 0.500
0.846 0.500 0.346

=====

Entry 8:
Tb11In6Ge4 | the Materials Project database | PBE | optimized geometry; total DFT energy (no corrections) = -4.7528 eV/atom; DFT formation energy = -0.6585 eV/atom
1.0
-5.799 5.799 8.171
5.799 -5.799 8.171
5.799 5.799 -8.171
Tb In Ge
22 12 8
Direct
0.065 0.314 0.751
0.101 0.447 0.346
0.101 0.756 0.654
0.166 0.166 0.000
0.244 0.899 0.346
0.314 0.065 0.751
0.314 0.563 0.249
0.331 0.331 0.663
0.331 0.669 0.000
0.437 0.686 0.751
0.447 0.101 0.346
0.553 0.899 0.654
0.563 0.314 0.249
0.669 0.331 0.000
0.669 0.669 0.337
0.686 0.437 0.751
0.686 0.935 0.249
0.756 0.101 0.654
0.834 0.834 0.000
0.899 0.244 0.346
0.899 0.553 0.654
0.935 0.686 0.249
0.034 0.034 0.411
0.034 0.623 0.000
0.129 0.129 0.259
0.129 0.871 0.000
0.377 0.377 0.411
0.377 0.966 0.000
0.623 0.034 0.000
0.623 0.623 0.589
0.871 0.129 0.000
0.871 0.871 0.741
0.966 0.377 0.000
0.966 0.966 0.589
0.153 0.500 0.653
0.250 0.750 0.500
0.383 0.383 0.000
0.500 0.153 0.653
0.500 0.847 0.347
0.617 0.617 0.000
0.750 0.250 0.500
0.847 0.500 0.347